Record 1
Here is a geometry-optimized DyCl3 structure from the Materials Project. Energies are from r²SCAN.

```
DyCl3
1.0
1.893 -6.109 0.000
1.893 6.109 0.000
0.000 0.000 8.517
Dy Cl
2 6
direct
0.242 0.758 0.750
0.758 0.242 0.250
0.151 0.849 0.068
0.151 0.849 0.432
0.409 0.591 0.250
0.591 0.409 0.750
0.849 0.151 0.568
0.849 0.151 0.932
```

Record 2
Here is a geometry-optimized SmEuZn2 structure from the Materials Project. Energies are from r²SCAN.

```
SmEuZn2
1.0
0.000 3.669 3.669
3.669 0.000 3.669
3.669 3.669 0.000
Sm Eu Zn
1 1 2
direct
0.000 0.000 0.000
0.500 0.500 0.500
0.250 0.250 0.250
0.750 0.750 0.750
```

Record 3
Here is a geometry-optimized LiErAu2 structure from the Materials Project. Energies are from r²SCAN.

```
LiErAu2
1.0
0.000 3.381 3.381
3.381 0.000 3.381
3.381 3.381 0.000
Li Er Au
1 1 2
direct
0.000 0.000 0.000
0.500 0.500 0.500
0.250 0.250 0.250
0.750 0.750 0.750
```

Record 4
Here is a geometry-optimized HoPS4 structure from the Materials Project. Energies are from r²SCAN.

```
HoPS4
1.0
-5.342 5.342 9.502
5.342 -5.342 9.502
5.342 5.342 -9.502
Ho P S
8 8 32
direct
0.125 0.375 0.750
0.125 0.875 0.250
0.375 0.125 0.250
0.375 0.625 0.750
0.625 0.375 0.250
0.625 0.875 0.750
0.875 0.125 0.750
0.875 0.625 0.250
0.212 0.250 0.462
0.250 0.288 0.038
0.250 0.788 0.538
0.288 0.750 0.038
0.712 0.250 0.962
0.750 0.212 0.462
0.750 0.712 0.962
0.788 0.750 0.538
0.084 0.883 0.474
0.091 0.390 0.974
0.095 0.665 0.939
0.110 0.409 0.526
0.117 0.091 0.201
0.156 0.095 0.930
0.165 0.595 0.439
0.226 0.156 0.561
0.274 0.835 0.930
0.335 0.774 0.430
0.344 0.274 0.939
0.383 0.584 0.974
0.390 0.916 0.299
0.405 0.344 0.570
0.409 0.383 0.299
0.416 0.890 0.799
0.584 0.110 0.201
0.591 0.617 0.701
0.595 0.656 0.430
0.610 0.084 0.701
0.617 0.416 0.026
0.656 0.726 0.061
0.665 0.226 0.570
0.726 0.165 0.070
0.774 0.844 0.439
0.835 0.405 0.561
0.844 0.905 0.070
0.883 0.909 0.799
0.890 0.591 0.474
0.905 0.335 0.061
0.909 0.610 0.026
0.916 0.117 0.526
```

Record 5
Here is a geometry-optimized Pm2CuPt structure from the Materials Project. Energies are from r²SCAN.

```
Pm2CuPt
1.0
0.000 3.556 3.556
3.556 0.000 3.556
3.556 3.556 0.000
Pm Cu Pt
2 1 1
direct
0.250 0.250 0.250
0.750 0.750 0.750
0.000 0.000 0.000
0.500 0.500 0.500
```

Record 6
Here is a geometry-optimized Sc2NiRu structure from the Materials Project. Energies are from r²SCAN.

```
Sc2NiRu
1.0
2.245 1.296 3.659
-2.245 1.296 3.659
0.000 -2.592 3.659
Sc Ni Ru
2 1 1
direct
0.250 0.250 0.250
0.750 0.750 0.750
0.000 0.000 0.000
0.500 0.500 0.500
```

Asked for spin magnetization across the records above, the calculation gives 0.0; 7.2; 0.0; 0.0; 0.0; 0.0 μB per cell in order.
Asked for energy of formation from the pure elements across the records above, the calculation gives -2.528; -0.286; -0.780; -1.199; -0.698; -0.567 eV/atom in order.